# 1
Compound: AgBH8C4N8F4
Source: the Materials Project
Functional: PBE
Structure: relaxed

## Properties
- ΔE_f: -720 meV/atom
- V: 11.52 Å³/atom

Lattice parameters (Å, degrees): 5.5715 9.7056 11.4149 90.46 102.59 95.66
Fractional coordinates of all 52 atoms:
N 0.7540 0.6000 0.4273
N 0.2460 0.4000 0.5727
N 0.8341 0.2727 0.5632
N 0.3723 0.8824 0.8363
N 0.6277 0.1176 0.1637
N 0.1427 0.0767 0.3903
N 0.3626 0.9231 0.1687
N 0.1659 0.7273 0.4368
N 0.4049 0.4621 0.3287
N 0.6374 0.0769 0.8313
N 0.2696 0.0502 0.6890
N 0.7304 0.9498 0.3110
N 0.5951 0.5379 0.6713
N 0.3080 0.4584 0.7794
N 0.6920 0.5416 0.2206
N 0.8573 0.9233 0.6097
F 0.8814 0.8519 0.9931
F 0.9803 0.6783 0.8758
F 0.0197 0.3217 0.1242
F 0.0505 0.6606 0.0843
F 0.6511 0.6384 0.9680
F 0.1186 0.1481 0.0069
F 0.9495 0.3394 0.9157
F 0.3489 0.3616 0.0320
B 0.1066 0.2939 0.0191
B 0.8934 0.7061 0.9809
C 0.9697 0.6655 0.4282
C 0.0303 0.3345 0.5718
C 0.0550 0.9811 0.6489
C 0.9450 0.0189 0.3511
C 0.6192 0.5351 0.3246
C 0.4232 0.0021 0.7849
C 0.5768 0.9979 0.2151
C 0.3808 0.4649 0.6754
H 0.8425 0.6043 0.2101
H 0.4186 0.5046 0.8552
H 0.7034 0.5845 0.7476
H 0.7591 0.0389 0.8998
H 0.2409 0.9611 0.1002
H 0.3509 0.4478 0.4083
H 0.6491 0.5522 0.5917
H 0.5049 0.1491 0.0920
H 0.1575 0.3957 0.7899
H 0.5814 0.4954 0.1448
H 0.6894 0.1674 0.7959
H 0.3106 0.8326 0.2041
H 0.4951 0.8509 0.9080
H 0.2060 0.8249 0.8119
H 0.2966 0.4155 0.2524
H 0.7940 0.1751 0.1881
Ag 0.4742 0.1650 0.5088
Ag 0.5258 0.8350 0.4912


# 2
Compound: AgBTe4CO5F20
Source: the Materials Project
Functional: PBE
Structure: relaxed

## Properties
- ΔE_f: -2161 meV/atom
- V: 16.52 Å³/atom

Lattice parameters (Å, degrees): 16.6294 10.2400 14.7891 57.11 90.00 90.00
Fractional coordinates of all 128 atoms:
F 0.0723 0.5559 0.9553
F 0.2379 0.0432 0.0079
F 0.9277 0.4441 0.0447
F 0.0908 0.9493 0.0640
F 0.8872 0.4597 0.2127
F 0.9599 0.2128 0.2406
F 0.3839 0.2250 0.3944
F 0.0544 0.1909 0.0715
F 0.6194 0.3568 0.2223
F 0.3872 0.5403 0.2873
F 0.6211 0.8818 0.9063
F 0.0535 0.3648 0.3501
F 0.9379 0.4251 0.8551
F 0.9144 0.5843 0.3374
F 0.5621 0.4251 0.3551
F 0.1531 0.8223 0.8689
F 0.8104 0.1951 0.2977
F 0.7168 0.3991 0.3493
F 0.0856 0.4157 0.6626
F 0.2621 0.0432 0.5079
F 0.8839 0.7750 0.1056
F 0.3806 0.6432 0.7777
F 0.3104 0.8049 0.2023
F 0.7621 0.9568 0.9921
F 0.3255 0.0085 0.6858
F 0.6943 0.8088 0.7787
F 0.4583 0.1247 0.2446
F 0.5535 0.6352 0.1499
F 0.8469 0.1777 0.1311
F 0.5544 0.8091 0.4285
F 0.6745 0.9915 0.3142
F 0.5105 0.6687 0.9535
F 0.4379 0.5749 0.6449
F 0.6128 0.4597 0.7127
F 0.1194 0.6432 0.2777
F 0.0105 0.3313 0.5465
F 0.9583 0.8753 0.2554
F 0.8255 0.9915 0.8142
F 0.2832 0.6009 0.6507
F 0.1211 0.1182 0.5937
F 0.8806 0.3568 0.7223
F 0.0621 0.5749 0.1449
F 0.8057 0.8088 0.2787
F 0.8482 0.6746 0.7736
F 0.1518 0.3254 0.2264
F 0.0401 0.7872 0.7594
F 0.3469 0.8223 0.3689
F 0.4465 0.3648 0.8501
F 0.4599 0.7872 0.2594
F 0.1161 0.2250 0.8944
F 0.3057 0.1912 0.2213
F 0.3482 0.3254 0.7264
F 0.4277 0.5559 0.4553
F 0.6518 0.6746 0.2736
F 0.5417 0.8753 0.7554
F 0.0417 0.1247 0.7446
F 0.9465 0.6352 0.6499
F 0.5908 0.0507 0.4360
F 0.1896 0.8049 0.7023
F 0.6161 0.7750 0.6056
F 0.4092 0.9493 0.5640
F 0.6896 0.1951 0.7977
F 0.8789 0.8818 0.4063
F 0.9092 0.0507 0.9360
F 0.4456 0.1909 0.5715
F 0.5401 0.2128 0.7406
F 0.9456 0.8091 0.9285
F 0.6531 0.1777 0.6311
F 0.3789 0.1182 0.0937
F 0.5723 0.4441 0.5447
F 0.2168 0.6009 0.1507
F 0.4895 0.3313 0.0465
F 0.7832 0.3991 0.8493
F 0.5856 0.5843 0.8374
F 0.1943 0.1912 0.7213
F 0.4144 0.4157 0.1626
F 0.1745 0.0085 0.1858
F 0.7379 0.9568 0.4921
F 0.1128 0.5403 0.7873
F 0.9895 0.6687 0.4535
Ag 0.8245 0.3046 0.5487
Ag 0.3245 0.6954 0.9513
Ag 0.1755 0.6954 0.4513
Ag 0.6755 0.3046 0.0487
O 0.7039 0.7039 0.4775
O 0.7961 0.7039 0.9775
O 0.7837 0.6176 0.6346
O 0.9077 0.0206 0.5553
O 0.2309 0.5757 0.9038
O 0.2163 0.3824 0.3654
O 0.2961 0.2961 0.5225
O 0.2039 0.2961 0.0225
O 0.2691 0.5757 0.4038
O 0.8336 0.5782 0.4918
O 0.7691 0.4243 0.0962
O 0.7309 0.4243 0.5962
O 0.7163 0.6176 0.1346
O 0.6664 0.5782 0.9918
O 0.4077 0.9794 0.9447
O 0.2837 0.3824 0.8654
O 0.3336 0.4218 0.0082
O 0.1664 0.4218 0.5082
O 0.5923 0.0206 0.0553
O 0.0923 0.9794 0.4447
Te 0.8941 0.7326 0.3715
Te 0.6479 0.8761 0.4614
Te 0.3941 0.2674 0.1285
Te 0.3667 0.6773 0.3311
Te 0.1333 0.6773 0.8311
Te 0.6059 0.7326 0.8715
Te 0.1380 0.4801 0.2557
Te 0.6380 0.5199 0.2443
Te 0.3620 0.4801 0.7557
Te 0.1479 0.1239 0.0386
Te 0.8521 0.8761 0.9614
Te 0.8620 0.5199 0.7443
Te 0.8667 0.3227 0.1689
Te 0.3521 0.1239 0.5386
Te 0.6333 0.3227 0.6689
Te 0.1059 0.2674 0.6285
C 0.8754 0.1215 0.5516
C 0.1246 0.8785 0.4484
C 0.6246 0.1215 0.0516
C 0.3754 0.8785 0.9484
B 0.2617 0.4105 0.9489
B 0.7383 0.5895 0.0511
B 0.7617 0.5895 0.5511
B 0.2383 0.4105 0.4489


# 3
Compound: AgBH2OF4
Source: the Materials Project
Functional: PBE
Structure: relaxed

## Properties
- ΔE_f: -2165 meV/atom
- V: 12.04 Å³/atom

Lattice parameters (Å, degrees): 7.9796 8.0592 13.4795 90.00 90.00 90.00
Fractional coordinates of all 72 atoms:
H 0.1590 0.4949 0.3648
H 0.6587 0.8963 0.4620
H 0.3413 0.1037 0.5380
H 0.8413 0.3963 0.5380
H 0.1587 0.6037 0.4620
H 0.3410 0.4949 0.8648
H 0.3413 0.6037 0.9620
H 0.1590 0.9949 0.1352
H 0.6587 0.3963 0.0380
H 0.6590 0.0051 0.3648
H 0.1587 0.1037 0.0380
H 0.6590 0.5051 0.1352
H 0.8413 0.8963 0.9620
H 0.8410 0.5051 0.6352
H 0.8410 0.0051 0.8648
H 0.3410 0.9949 0.6352
O 0.1515 0.6104 0.3892
O 0.1515 0.1104 0.1108
O 0.8485 0.3896 0.6108
O 0.6515 0.8896 0.3892
O 0.3485 0.1104 0.6108
O 0.3485 0.6104 0.8892
O 0.8485 0.8896 0.8892
O 0.6515 0.3896 0.1108
F 0.4621 0.7078 0.5359
F 0.3316 0.2901 0.8188
F 0.4895 0.5503 0.6795
F 0.4895 0.0503 0.8205
F 0.2359 0.5584 0.5947
F 0.9895 0.4497 0.8205
F 0.1684 0.2901 0.3188
F 0.2641 0.0584 0.4053
F 0.0105 0.0503 0.3205
F 0.2359 0.0584 0.9053
F 0.1684 0.7901 0.1812
F 0.7359 0.4416 0.9053
F 0.9621 0.7922 0.5359
F 0.4621 0.2078 0.9641
F 0.0379 0.2078 0.4641
F 0.7641 0.9416 0.0947
F 0.5379 0.7922 0.0359
F 0.6684 0.2099 0.3188
F 0.8316 0.7099 0.6812
F 0.5105 0.9497 0.1795
F 0.9621 0.2922 0.9641
F 0.0105 0.5503 0.1795
F 0.0379 0.7078 0.0359
F 0.9895 0.9497 0.6795
F 0.6684 0.7099 0.1812
F 0.7641 0.4416 0.4053
F 0.5105 0.4497 0.3205
F 0.7359 0.9416 0.5947
F 0.2641 0.5584 0.0947
F 0.5379 0.2922 0.4641
F 0.8316 0.2099 0.8188
F 0.3316 0.7901 0.6812
B 0.8815 0.8496 0.6216
B 0.8815 0.3496 0.8784
B 0.1185 0.6504 0.1216
B 0.3815 0.6504 0.6216
B 0.6185 0.8496 0.1216
B 0.1185 0.1504 0.3784
B 0.3815 0.1504 0.8784
B 0.6185 0.3496 0.3784
Ag 0.6068 0.7355 0.8384
Ag 0.1068 0.7645 0.8384
Ag 0.3932 0.2645 0.1616
Ag 0.1068 0.2645 0.6616
Ag 0.6068 0.2355 0.6616
Ag 0.8932 0.7355 0.3384
Ag 0.3932 0.7645 0.3384
Ag 0.8932 0.2355 0.1616


# 4
Compound: AgBO3
Source: the Materials Project
Functional: PBE
Structure: relaxed

## Properties
- ΔE_f: -549 meV/atom
- V: 8.45 Å³/atom

Lattice parameters (Å, degrees): 3.4833 3.4833 3.4833 90.00 90.00 90.00
Fractional coordinates of all 5 atoms:
O 0.0000 0.5000 0.5000
O 0.5000 0.5000 0.0000
O 0.5000 0.0000 0.5000
Ag 0.0000 0.0000 0.0000
B 0.5000 0.5000 0.5000